[1]
Density functional theory data (PBE-GGA) for a relaxed RbNa2AlF6 crystal.

Calculated values
The calculation puts the energy of formation at -3192.8 meV/atom. The crystal system is cubic.

abc: 6.239 6.239 6.239
angles: 60.00 60.00 60.00
Sites, in units of the cell vectors:
Rb (0.500, 0.500, 0.500)
Na (0.750, 0.750, 0.750)
Na (0.250, 0.250, 0.250)
Al (0.000, 0.000, 0.000)
F (0.793, 0.207, 0.207)
F (0.207, 0.207, 0.793)
F (0.207, 0.793, 0.793)
F (0.207, 0.793, 0.207)
F (0.793, 0.207, 0.793)
F (0.793, 0.793, 0.207)

[2]
Density functional theory data (PBE-GGA) for a relaxed Na3Sr4Al5F26 crystal.

Calculated values
The calculation puts the energy of formation at -3873.0 meV/atom. The crystal system is tetragonal.

abc: 10.398 10.398 18.602
angles: 90.00 90.00 90.00
Sites, in units of the cell vectors:
Na (0.750, 0.250, 0.496)
Na (0.750, 0.250, 0.996)
Na (0.500, 0.500, 0.500)
Na (0.000, 0.500, 0.000)
Na (0.250, 0.250, 0.502)
Na (0.250, 0.750, 0.504)
Na (0.750, 0.750, 0.498)
Na (0.500, 0.000, 0.000)
Na (0.000, 0.000, 0.500)
Na (0.250, 0.250, 0.998)
Na (0.250, 0.750, 0.004)
Na (0.750, 0.750, 0.002)
Sr (0.287, 0.997, 0.195)
Sr (0.503, 0.287, 0.305)
Sr (0.787, 0.497, 0.805)
Sr (0.782, 0.497, 0.174)
Sr (0.282, 0.997, 0.826)
Sr (0.497, 0.713, 0.695)
Sr (0.497, 0.718, 0.326)
Sr (0.713, 0.003, 0.805)
Sr (0.718, 0.003, 0.174)
Sr (0.997, 0.213, 0.305)
Sr (0.003, 0.782, 0.326)
Sr (0.003, 0.787, 0.695)
Sr (0.503, 0.282, 0.674)
Sr (0.213, 0.503, 0.195)
Sr (0.997, 0.218, 0.674)
Sr (0.218, 0.503, 0.826)
Al (0.015, 0.256, 0.128)
Al (0.010, 0.747, 0.134)
Al (0.990, 0.253, 0.866)
Al (0.490, 0.753, 0.134)
Al (0.253, 0.510, 0.634)
Al (0.500, 0.500, 0.000)
Al (0.485, 0.244, 0.128)
Al (0.247, 0.990, 0.634)
Al (0.244, 0.015, 0.372)
Al (0.000, 0.000, 0.000)
Al (0.756, 0.985, 0.628)
Al (0.510, 0.247, 0.866)
Al (0.985, 0.744, 0.872)
Al (0.000, 0.500, 0.500)
Al (0.500, 0.000, 0.500)
Al (0.744, 0.515, 0.628)
Al (0.515, 0.756, 0.872)
Al (0.753, 0.010, 0.366)
Al (0.747, 0.490, 0.366)
Al (0.256, 0.485, 0.372)
F (0.344, 0.396, 0.578)
F (0.047, 0.874, 0.066)
F (0.341, 0.504, 0.963)
F (0.123, 0.997, 0.302)
F (0.450, 0.369, 0.060)
F (0.841, 0.105, 0.574)
F (0.604, 0.844, 0.078)
F (0.387, 0.667, 0.828)
F (0.626, 0.047, 0.434)
F (0.504, 0.159, 0.537)
F (0.667, 0.113, 0.672)
F (0.887, 0.167, 0.172)
F (0.503, 0.123, 0.198)
F (0.361, 0.143, 0.088)
F (0.325, 0.128, 0.312)
F (0.873, 0.990, 0.294)
F (0.659, 0.395, 0.574)
F (0.176, 0.624, 0.695)
F (0.105, 0.659, 0.926)
F (0.869, 0.550, 0.560)
F (0.637, 0.148, 0.906)
F (0.131, 0.450, 0.440)
F (0.148, 0.863, 0.594)
F (0.675, 0.872, 0.688)
F (0.127, 0.010, 0.706)
F (0.374, 0.953, 0.566)
F (0.841, 0.004, 0.037)
F (0.852, 0.137, 0.406)
F (0.010, 0.373, 0.794)
F (0.627, 0.510, 0.294)
F (0.623, 0.497, 0.698)
F (0.874, 0.453, 0.434)
F (0.341, 0.605, 0.426)
F (0.950, 0.869, 0.940)
F (0.877, 0.003, 0.698)
F (0.863, 0.352, 0.906)
F (0.143, 0.139, 0.412)
F (0.896, 0.656, 0.078)
F (0.372, 0.325, 0.188)
F (0.656, 0.604, 0.422)
F (0.337, 0.120, 0.671)
F (0.357, 0.361, 0.412)
F (0.113, 0.833, 0.828)
F (0.490, 0.127, 0.794)
F (0.639, 0.857, 0.912)
F (0.663, 0.880, 0.329)
F (0.104, 0.344, 0.922)
F (0.837, 0.620, 0.329)
F (0.377, 0.503, 0.302)
F (0.497, 0.877, 0.802)
F (0.876, 0.176, 0.805)
F (0.825, 0.628, 0.688)
F (0.895, 0.341, 0.074)
F (0.369, 0.050, 0.440)
F (0.175, 0.372, 0.312)
F (0.159, 0.996, 0.963)
F (0.547, 0.374, 0.934)
F (0.363, 0.852, 0.094)
F (0.373, 0.490, 0.706)
F (0.120, 0.163, 0.829)
F (0.510, 0.873, 0.206)
F (0.380, 0.337, 0.829)
F (0.857, 0.861, 0.588)
F (0.953, 0.126, 0.934)
F (0.872, 0.825, 0.812)
F (0.643, 0.639, 0.588)
F (0.126, 0.547, 0.566)
F (0.124, 0.824, 0.195)
F (0.990, 0.627, 0.206)
F (0.676, 0.124, 0.305)
F (0.139, 0.357, 0.088)
F (0.833, 0.387, 0.672)
F (0.396, 0.156, 0.922)
F (0.352, 0.637, 0.594)
F (0.631, 0.950, 0.560)
F (0.156, 0.104, 0.578)
F (0.628, 0.675, 0.812)
F (0.659, 0.496, 0.037)
F (0.996, 0.341, 0.537)
F (0.453, 0.626, 0.066)
F (0.395, 0.841, 0.926)
F (0.167, 0.613, 0.328)
F (0.620, 0.663, 0.171)
F (0.324, 0.876, 0.695)
F (0.824, 0.376, 0.305)
F (0.137, 0.648, 0.094)
F (0.004, 0.659, 0.463)
F (0.128, 0.175, 0.188)
F (0.159, 0.895, 0.426)
F (0.003, 0.623, 0.802)
F (0.997, 0.377, 0.198)
F (0.550, 0.631, 0.940)
F (0.613, 0.333, 0.172)
F (0.376, 0.676, 0.195)
F (0.333, 0.887, 0.328)
F (0.648, 0.363, 0.406)
F (0.861, 0.643, 0.912)
F (0.050, 0.131, 0.060)
F (0.880, 0.837, 0.171)
F (0.605, 0.159, 0.074)
F (0.163, 0.380, 0.671)
F (0.844, 0.896, 0.422)
F (0.496, 0.841, 0.463)
F (0.624, 0.324, 0.805)

[3]
Density functional theory data (PBE-GGA) for a relaxed NaSrAlF6 crystal.

Calculated values
The calculation puts the energy of formation at -3827.2 meV/atom. The crystal system is orthorhombic.

abc: 5.404 9.530 18.612
angles: 90.00 90.00 90.00
Sites, in units of the cell vectors:
Na (0.256, 0.868, 0.313)
Na (0.744, 0.368, 0.687)
Na (0.244, 0.868, 0.813)
Na (0.756, 0.368, 0.187)
Na (0.760, 0.773, 0.433)
Na (0.240, 0.273, 0.567)
Na (0.740, 0.773, 0.933)
Na (0.260, 0.273, 0.067)
Sr (0.248, 0.640, 0.133)
Sr (0.752, 0.140, 0.867)
Sr (0.252, 0.640, 0.633)
Sr (0.748, 0.140, 0.367)
Sr (0.249, 0.502, 0.384)
Sr (0.751, 0.002, 0.616)
Sr (0.251, 0.502, 0.884)
Sr (0.749, 0.002, 0.116)
Al (0.241, 0.899, 0.993)
Al (0.759, 0.399, 0.007)
Al (0.259, 0.899, 0.493)
Al (0.741, 0.399, 0.507)
Al (0.752, 0.741, 0.255)
Al (0.248, 0.241, 0.745)
Al (0.748, 0.741, 0.755)
Al (0.252, 0.241, 0.245)
F (0.468, 0.174, 0.179)
F (0.532, 0.674, 0.821)
F (0.032, 0.174, 0.679)
F (0.968, 0.674, 0.321)
F (0.552, 0.463, 0.076)
F (0.448, 0.963, 0.924)
F (0.948, 0.463, 0.576)
F (0.052, 0.963, 0.424)
F (0.986, 0.149, 0.208)
F (0.014, 0.649, 0.792)
F (0.514, 0.149, 0.708)
F (0.486, 0.649, 0.292)
F (0.331, 0.749, 0.433)
F (0.669, 0.249, 0.567)
F (0.169, 0.749, 0.933)
F (0.831, 0.249, 0.067)
F (0.314, 0.101, 0.308)
F (0.321, 0.040, 0.055)
F (0.686, 0.601, 0.692)
F (0.814, 0.601, 0.192)
F (0.529, 0.994, 0.460)
F (0.471, 0.494, 0.540)
F (0.971, 0.994, 0.960)
F (0.029, 0.494, 0.040)
F (0.002, 0.839, 0.211)
F (0.998, 0.339, 0.789)
F (0.498, 0.839, 0.711)
F (0.502, 0.339, 0.289)
F (0.195, 0.391, 0.184)
F (0.805, 0.891, 0.816)
F (0.305, 0.391, 0.684)
F (0.695, 0.891, 0.316)
F (0.533, 0.822, 0.190)
F (0.467, 0.322, 0.810)
F (0.967, 0.822, 0.690)
F (0.033, 0.322, 0.310)
F (0.029, 0.822, 0.061)
F (0.971, 0.322, 0.939)
F (0.471, 0.822, 0.561)
F (0.529, 0.322, 0.439)
F (0.990, 0.297, 0.465)
F (0.010, 0.797, 0.535)
F (0.510, 0.297, 0.965)
F (0.490, 0.797, 0.035)
F (0.821, 0.540, 0.445)
F (0.179, 0.040, 0.555)
F (0.679, 0.540, 0.945)
F (0.186, 0.101, 0.808)

Record-wise corrected total energy (MP2020 scheme) values, in Ry per atom: -0.373, -0.438, -0.430